(1)
Entry from Materials Project: crystalline Nd2Zn17 at its relaxed geometry (PBE).

Summary:
Space-group type: P6_3/mmc, No. 194
Uncorrected energy: -1.89 eV/atom
ΔH_f (0 K): -0.26 eV per atom
V: 625 Å³/cell

Cell: 9.0818 9.0818 8.7530 Å, 90.00 90.00 120.00°
With the nearest neighbours (Å) after each atom.
Sites, in units of the cell vectors:
Zn1 0.1618 0.3236 0.9826  8 Zn 2.56-2.74
Zn2 0.6332 0.6705 0.2500  8 Zn 2.60-2.76
Zn3 0.6705 0.0374 0.7500  8 Zn 2.60-2.76
Zn4 0.3236 0.1618 0.4826  8 Zn 2.56-2.74
Zn5 0.1618 0.3236 0.5174  8 Zn 2.56-2.74
Zn6 0.6667 0.3333 0.9009  7 Zn 2.64-2.88
Zn7 0.3333 0.6667 0.4009  7 Zn 2.64-2.88
Zn8 0.0374 0.3668 0.2500  8 Zn 2.60-2.76
Zn9 0.3295 0.9626 0.2500  8 Zn 2.60-2.76
Zn10 0.3333 0.6667 0.0991  7 Zn 2.64-2.88
Zn11 0.6332 0.9626 0.2500  8 Zn 2.60-2.76
Zn12 0.3668 0.3295 0.7500  8 Zn 2.60-2.76
Zn13 0.8382 0.6764 0.0174  8 Zn 2.56-2.74
Zn14 0.9626 0.3295 0.7500  8 Zn 2.60-2.76
Zn15 0.5000 0.5000 0.0000  10 Zn 2.60-2.76
Zn16 0.5000 0.5000 0.5000  10 Zn 2.60-2.76
Zn17 0.0374 0.6705 0.2500  8 Zn 2.60-2.76
Zn18 0.3668 0.0374 0.7500  8 Zn 2.60-2.76
Zn19 0.0000 0.5000 0.5000  10 Zn 2.60-2.76
Zn20 0.1618 0.8382 0.5174  8 Zn 2.56-2.74
Zn21 0.5000 0.0000 0.5000  10 Zn 2.60-2.76
Zn22 0.8382 0.6764 0.4826  8 Zn 2.56-2.74
Zn23 0.6764 0.8382 0.5174  8 Zn 2.56-2.74
Zn24 0.6764 0.8382 0.9826  8 Zn 2.56-2.74
Zn25 0.8382 0.1618 0.4826  8 Zn 2.56-2.74
Zn26 0.1618 0.8382 0.9826  8 Zn 2.56-2.74
Zn27 0.6705 0.6332 0.7500  8 Zn 2.60-2.76
Zn28 0.0000 0.5000 0.0000  10 Zn 2.60-2.76
Zn29 0.9626 0.6332 0.7500  8 Zn 2.60-2.76
Zn30 0.6667 0.3333 0.5991  7 Zn 2.64-2.88
Zn31 0.3295 0.3668 0.2500  8 Zn 2.60-2.76
Zn32 0.8382 0.1618 0.0174  8 Zn 2.56-2.74
Zn33 0.5000 0.0000 0.0000  10 Zn 2.60-2.76
Zn34 0.3236 0.1618 0.0174  8 Zn 2.56-2.74
Nd1 0.6667 0.3333 0.2500  20 Zn 3.06-3.41
Nd2 0.3333 0.6667 0.7500  20 Zn 3.06-3.41
Nd3 0.0000 0.0000 0.2500  18 Zn 3.18-3.46
Nd4 0.0000 0.0000 0.7500  18 Zn 3.18-3.46

(2)
Entry from Materials Project: crystalline Nd3Zn at its relaxed geometry (PBE).

Summary:
Space-group type: P6_3/mmc, No. 194
Uncorrected energy: -3.93 eV/atom
ΔH_f (0 K): -0.04 eV per atom
V: 236 Å³/cell

Cell: 7.1112 7.1112 5.3905 Å, 90.00 90.00 120.00°
With the nearest neighbours (Å) after each atom.
Sites, in units of the cell vectors:
Zn1 0.3333 0.6667 0.7500  12 Nd 3.32-3.56
Zn2 0.6667 0.3333 0.2500  12 Nd 3.32-3.56
Nd1 0.1765 0.8235 0.2500  4 Zn 3.32-3.56, 6 Nd 3.35-3.46
Nd2 0.1765 0.3529 0.2500  4 Zn 3.32-3.56, 6 Nd 3.35-3.46
Nd3 0.6471 0.8235 0.2500  4 Zn 3.32-3.56, 6 Nd 3.35-3.46
Nd4 0.3529 0.1765 0.7500  4 Zn 3.32-3.56, 6 Nd 3.35-3.46
Nd5 0.8235 0.6471 0.7500  4 Zn 3.32-3.56, 6 Nd 3.35-3.46
Nd6 0.8235 0.1765 0.7500  4 Zn 3.32-3.56, 6 Nd 3.35-3.46

(3)
Entry from Materials Project: crystalline NdZr at its relaxed geometry (PBE).

Summary:
Space-group type: P-6m2, No. 187
Uncorrected energy: -6.44 eV/atom
ΔH_f (0 K): 0.21 eV per atom
V: 57 Å³/cell

Cell: 3.4111 3.4111 5.6145 Å, 90.00 90.00 120.00°
With the nearest neighbours (Å) after each atom.
Sites, in units of the cell vectors:
Zr1 0.0000 0.0000 0.0000  6 Zr 3.41, 6 Nd 3.43
Nd1 0.3333 0.6667 0.5000  6 Nd 3.41, 6 Zr 3.43

What is the ΔH_f (0 K) in the first record? -0.26 eV per atom

Copy entry 1 word for word.
Entry from Materials Project: crystalline Nd2Zn17 at its relaxed geometry (PBE).

Summary:
Space-group type: P6_3/mmc, No. 194
Uncorrected energy: -1.89 eV/atom
ΔH_f (0 K): -0.26 eV per atom
V: 625 Å³/cell

Cell: 9.0818 9.0818 8.7530 Å, 90.00 90.00 120.00°
With the nearest neighbours (Å) after each atom.
Sites, in units of the cell vectors:
Zn1 0.1618 0.3236 0.9826  8 Zn 2.56-2.74
Zn2 0.6332 0.6705 0.2500  8 Zn 2.60-2.76
Zn3 0.6705 0.0374 0.7500  8 Zn 2.60-2.76
Zn4 0.3236 0.1618 0.4826  8 Zn 2.56-2.74
Zn5 0.1618 0.3236 0.5174  8 Zn 2.56-2.74
Zn6 0.6667 0.3333 0.9009  7 Zn 2.64-2.88
Zn7 0.3333 0.6667 0.4009  7 Zn 2.64-2.88
Zn8 0.0374 0.3668 0.2500  8 Zn 2.60-2.76
Zn9 0.3295 0.9626 0.2500  8 Zn 2.60-2.76
Zn10 0.3333 0.6667 0.0991  7 Zn 2.64-2.88
Zn11 0.6332 0.9626 0.2500  8 Zn 2.60-2.76
Zn12 0.3668 0.3295 0.7500  8 Zn 2.60-2.76
Zn13 0.8382 0.6764 0.0174  8 Zn 2.56-2.74
Zn14 0.9626 0.3295 0.7500  8 Zn 2.60-2.76
Zn15 0.5000 0.5000 0.0000  10 Zn 2.60-2.76
Zn16 0.5000 0.5000 0.5000  10 Zn 2.60-2.76
Zn17 0.0374 0.6705 0.2500  8 Zn 2.60-2.76
Zn18 0.3668 0.0374 0.7500  8 Zn 2.60-2.76
Zn19 0.0000 0.5000 0.5000  10 Zn 2.60-2.76
Zn20 0.1618 0.8382 0.5174  8 Zn 2.56-2.74
Zn21 0.5000 0.0000 0.5000  10 Zn 2.60-2.76
Zn22 0.8382 0.6764 0.4826  8 Zn 2.56-2.74
Zn23 0.6764 0.8382 0.5174  8 Zn 2.56-2.74
Zn24 0.6764 0.8382 0.9826  8 Zn 2.56-2.74
Zn25 0.8382 0.1618 0.4826  8 Zn 2.56-2.74
Zn26 0.1618 0.8382 0.9826  8 Zn 2.56-2.74
Zn27 0.6705 0.6332 0.7500  8 Zn 2.60-2.76
Zn28 0.0000 0.5000 0.0000  10 Zn 2.60-2.76
Zn29 0.9626 0.6332 0.7500  8 Zn 2.60-2.76
Zn30 0.6667 0.3333 0.5991  7 Zn 2.64-2.88
Zn31 0.3295 0.3668 0.2500  8 Zn 2.60-2.76
Zn32 0.8382 0.1618 0.0174  8 Zn 2.56-2.74
Zn33 0.5000 0.0000 0.0000  10 Zn 2.60-2.76
Zn34 0.3236 0.1618 0.0174  8 Zn 2.56-2.74
Nd1 0.6667 0.3333 0.2500  20 Zn 3.06-3.41
Nd2 0.3333 0.6667 0.7500  20 Zn 3.06-3.41
Nd3 0.0000 0.0000 0.2500  18 Zn 3.18-3.46
Nd4 0.0000 0.0000 0.7500  18 Zn 3.18-3.46

The lowest ΔH_f (0 K) belongs to which entry? Nd2Zn17

V of number 2 (Nd3Zn)? 236 Å³/cell